Record 1
Density functional theory data (r2SCAN) for a relaxed structure of Er2PbS4.

Geometry as POSCAR:
```
Er2PbS4
1.0
11.9841 0.0000 0.0000
0.0000 3.9383 0.0000
0.0000 0.0000 14.2966
Er Pb S
8 4 16
direct
0.0585 0.2500 0.1095 Er
0.0849 0.2500 0.6002 Er
0.4151 0.7500 0.1002 Er
0.4415 0.7500 0.6095 Er
0.5585 0.2500 0.3905 Er
0.5849 0.2500 0.8998 Er
0.9151 0.7500 0.3998 Er
0.9415 0.7500 0.8905 Er
0.2236 0.2500 0.3360 Pb
0.2764 0.7500 0.8360 Pb
0.7236 0.2500 0.1640 Pb
0.7764 0.7500 0.6640 Pb
0.0197 0.7500 0.7124 S
0.0890 0.2500 0.9242 S
0.1257 0.7500 0.4721 S
0.2042 0.7500 0.1690 S
0.2958 0.2500 0.6690 S
0.3743 0.2500 0.9721 S
0.4110 0.7500 0.4242 S
0.4803 0.2500 0.2124 S
0.5197 0.7500 0.7876 S
0.5890 0.2500 0.5758 S
0.6257 0.7500 0.0279 S
0.7042 0.7500 0.3310 S
0.7958 0.2500 0.8310 S
0.8743 0.2500 0.5279 S
0.9110 0.7500 0.0758 S
0.9803 0.2500 0.2876 S
```

Summary:
The calculation puts the total magnetization at 0.00 μB/f.u. Its space group is Pnma, No. 62.

***

Record 2
Density functional theory data (r2SCAN) for a relaxed structure of NbPCl8O.

Geometry as POSCAR:
```
NbPCl8O
1.0
16.4748 0.0000 0.0000
0.0000 8.2655 0.0000
0.0000 0.0000 9.0342
Nb P Cl O
4 4 32 4
direct
0.1482 0.2500 0.0868 Nb
0.3518 0.7500 0.5868 Nb
0.6482 0.2500 0.4132 Nb
0.8518 0.7500 0.9132 Nb
0.0777 0.2500 0.7156 P
0.4223 0.7500 0.2156 P
0.5777 0.2500 0.7844 P
0.9223 0.7500 0.2844 P
0.0229 0.2500 0.2097 Cl
0.0337 0.7500 0.3616 Cl
0.1323 0.0600 0.6309 Cl
0.1323 0.4400 0.6309 Cl
0.1407 0.5314 0.0596 Cl
0.1407 0.9686 0.0596 Cl
0.2265 0.2500 0.2957 Cl
0.2359 0.7500 0.4270 Cl
0.2641 0.2500 0.9270 Cl
0.2735 0.7500 0.7957 Cl
0.3593 0.0314 0.5596 Cl
0.3593 0.4686 0.5596 Cl
0.3677 0.5600 0.1309 Cl
0.3677 0.9400 0.1309 Cl
0.4663 0.2500 0.8616 Cl
0.4771 0.7500 0.7097 Cl
0.5229 0.2500 0.2903 Cl
0.5337 0.7500 0.1384 Cl
0.6323 0.0600 0.8691 Cl
0.6323 0.4400 0.8691 Cl
0.6407 0.5314 0.4404 Cl
0.6407 0.9686 0.4404 Cl
0.7265 0.2500 0.2043 Cl
0.7359 0.7500 0.0730 Cl
0.7641 0.2500 0.5730 Cl
0.7735 0.7500 0.7043 Cl
0.8593 0.0314 0.9404 Cl
0.8593 0.4686 0.9404 Cl
0.8677 0.5600 0.3691 Cl
0.8677 0.9400 0.3691 Cl
0.9663 0.2500 0.6384 Cl
0.9771 0.7500 0.7903 Cl
0.0774 0.2500 0.8791 O
0.4226 0.7500 0.3791 O
0.5774 0.2500 0.6209 O
0.9226 0.7500 0.1209 O
```

Summary:
The calculation puts the total magnetization at 0.00 μB/f.u. Its space group is Pnma, No. 62.

***

Record 3
Density functional theory data (r2SCAN) for a relaxed structure of TmIn2Pd.

Geometry as POSCAR:
```
TmIn2Pd
1.0
-6.8311 6.8311 4.5581
6.8311 -6.8311 4.5581
6.8311 6.8311 -4.5581
Tm In Pd
10 20 10
direct
0.0000 0.0000 0.0000 Tm
0.0899 0.0899 0.4037 Tm
0.0899 0.6862 0.0000 Tm
0.1230 0.4019 0.7210 Tm
0.4019 0.1230 0.7210 Tm
0.4019 0.6809 0.2790 Tm
0.4733 0.4733 0.0000 Tm
0.6809 0.4019 0.2790 Tm
0.6862 0.0899 0.0000 Tm
0.6862 0.6862 0.5963 Tm
0.1060 0.1060 0.7399 In
0.1060 0.3661 0.0000 In
0.2593 0.8765 0.3828 In
0.2805 0.4879 0.4918 In
0.2805 0.7887 0.7926 In
0.3661 0.1060 0.0000 In
0.3661 0.3661 0.2601 In
0.4879 0.2805 0.4918 In
0.4879 0.9960 0.2074 In
0.4938 0.8765 0.6172 In
0.5667 0.7291 0.8375 In
0.7291 0.5667 0.8375 In
0.7291 0.8916 0.1625 In
0.7887 0.2805 0.7926 In
0.7887 0.9960 0.5082 In
0.8765 0.2593 0.3828 In
0.8765 0.4938 0.6172 In
0.8916 0.7291 0.1625 In
0.9960 0.4879 0.2074 In
0.9960 0.7887 0.5082 In
0.0356 0.2484 0.2128 Pd
0.0356 0.8228 0.7872 Pd
0.1265 0.6265 0.5000 Pd
0.2484 0.0356 0.2128 Pd
0.3815 0.3815 0.6775 Pd
0.3815 0.7041 0.0000 Pd
0.6265 0.1265 0.5000 Pd
0.7041 0.3815 0.0000 Pd
0.7041 0.7041 0.3225 Pd
0.8228 0.0356 0.7872 Pd
```

Summary:
The calculation puts the total magnetization at 0.00 μB/f.u. Its space group is I4mm, No. 107.

***

Record 4
Density functional theory data (r2SCAN) for a relaxed structure of GdTa3O9.

Geometry as POSCAR:
```
GdTa3O9
1.0
5.3173 0.0000 0.0000
0.0000 7.4909 0.0000
-0.3493 0.0000 8.2212
Gd Ta O
2 6 18
direct
0.0336 0.2500 0.4349 Gd
0.9664 0.7500 0.5651 Gd
0.0000 0.0000 0.0000 Ta
0.0000 0.5000 0.0000 Ta
0.4728 0.0074 0.6985 Ta
0.4728 0.4926 0.6985 Ta
0.5272 0.5074 0.3015 Ta
0.5272 0.9926 0.3015 Ta
0.0955 0.2500 0.9803 O
0.1497 0.5616 0.7852 O
0.1497 0.9384 0.7852 O
0.2613 0.5408 0.4668 O
0.2613 0.9592 0.4668 O
0.3230 0.5539 0.1198 O
0.3230 0.9461 0.1198 O
0.3415 0.2500 0.6567 O
0.4299 0.2500 0.3124 O
0.5701 0.7500 0.6876 O
0.6585 0.7500 0.3433 O
0.6770 0.0539 0.8802 O
0.6770 0.4461 0.8802 O
0.7387 0.0408 0.5332 O
0.7387 0.4592 0.5332 O
0.8503 0.0616 0.2148 O
0.8503 0.4384 0.2148 O
0.9045 0.7500 0.0197 O
```

Summary:
The calculation puts the total magnetization at 7.00 μB/f.u. Its space group is P2_1/m, No. 11.

***

Number 1: calculated total energy -24.213 eV/atom. Number 2: calculated total energy -9.391 eV/atom. Number 3: calculated total energy -26.554 eV/atom. Number 4: calculated total energy -21.984 eV/atom.